Record 1
{"formula": "NaCe5S8", "functional": "PBE", "state": "relaxed", "ef_mev_per_atom": -2223, "dft_energy_ev_per_fu": -91.18, "vol_a3_per_fu": 313, "corrected_energy_ev_per_cell": -95.20, "magmom_total_mub_per_atom": 0.3571, "lattice_angstrom": [[-4.271, 4.271, 4.284], [4.271, -4.271, 4.284], [4.271, 4.271, -4.284]], "species": ["S", "S", "Ce", "Ce", "S", "S", "Ce", "Na", "S", "Ce", "S", "S", "Ce", "S"], "frac_coords": [[0.872, 0.626, 0.902], [0.374, 0.276, 0.246], [0.249, 0.871, 0.880], [0.631, 0.751, 0.622], [0.880, 0.637, 0.397], [0.517, 0.120, 0.757], [0.500, 0.500, 0.000], [0.750, 0.250, 0.500], [0.724, 0.970, 0.098], [0.991, 0.369, 0.120], [0.363, 0.759, 0.243], [0.241, 0.483, 0.603], [0.129, 0.009, 0.378], [0.030, 0.128, 0.754]]}



Record 2
{"formula": "SrTiO3", "functional": "PBE", "state": "relaxed", "ef_mev_per_atom": -3552, "dft_energy_ev_per_fu": -40.13, "vol_a3_per_fu": 61, "corrected_energy_ev_per_cell": -84.38, "lattice_angstrom": [[-2.784, 2.784, 3.954], [2.784, -2.784, 3.954], [2.784, 2.784, -3.954]], "species": ["Ti", "Sr", "O", "O", "O", "O", "Sr", "Ti", "O", "O"], "frac_coords": [[0.500, 0.500, 0.000], [0.250, 0.750, 0.500], [0.771, 0.271, 0.042], [0.729, 0.771, 0.500], [0.250, 0.250, 0.000], [0.229, 0.729, 0.958], [0.750, 0.250, 0.500], [0.000, 0.000, 0.000], [0.271, 0.229, 0.500], [0.750, 0.750, 0.000]]}



Record 3
{"formula": "TmBr", "functional": "PBE", "state": "relaxed", "ef_mev_per_atom": -1227, "dft_energy_ev_per_fu": -8.03, "vol_a3_per_fu": 56, "corrected_energy_ev_per_cell": -17.13, "magmom_total_mub_per_atom": 0.0000, "lattice_angstrom": [[-0.882, 1.733, 3.064], [-2.608, -1.261, -2.187], [0.063, -8.606, 4.886]], "species": ["Tm", "Tm", "Br", "Br"], "frac_coords": [[0.333, 0.667, 0.331], [0.667, 0.333, 0.831], [0.333, 0.667, 0.044], [0.667, 0.333, 0.544]]}



Record 4
{"formula": "Na10Hf4Zn4Si5S7O48", "functional": "PBE", "state": "relaxed", "ef_mev_per_atom": -2513, "dft_energy_ev_per_fu": -514.72, "vol_a3_per_fu": 1078, "corrected_energy_ev_per_cell": -1643.08, "magmom_total_mub_per_atom": 0.0000, "lattice_angstrom": [[18.082, -0.110, 0.222], [-4.568, 7.913, 0.006], [0.284, 0.183, 22.687]], "species": ["O", "Hf", "Hf", "O", "O", "O", "S", "Hf", "O", "Hf", "O", "O", "O", "Na", "O", "Na", "Zn", "O", "Si", "O", "O", "S", "S", "S", "Na", "Zn", "O", "Na", "O", "O", "O", "Na", "O", "O", "O", "O", "O", "O", "O", "Zn", "O", "O", "O", "O", "O", "Si", "O", "Hf", "O", "S", "O", "O", "O", "O", "O", "O", "O", "O", "Zn", "O", "O", "Na", "S", "O", "O", "O", "O", "Na", "O", "O", "Zn", "O", "Si", "O", "O", "O", "O", "O", "Na", "O", "Zn", "O", "O", "O", "S", "O", "Si", "Si", "O", "O", "S", "O", "O", "O", "Na", "Hf", "O", "S", "O", "S", "Na", "S", "O", "O", "Na", "O", "O", "O", "O", "O", "O", "O", "O", "Na", "S", "S", "Na", "Na", "Na", "Na", "O", "O", "O", "Si", "O", "O", "Si", "O", "Na", "Hf", "Na", "O", "O", "O", "Na", "O", "O", "O", "Si", "O", "Na", "Hf", "Na", "O", "O", "Na", "Zn", "O", "O", "O", "O", "O", "Na", "S", "O", "O", "O", "O", "O", "O", "O", "S", "O", "O", "Si", "O", "O", "O", "O", "O", "O", "Zn", "O", "Zn", "O", "O", "O", "O", "Si", "O", "S", "O", "Zn", "Na", "O", "O", "O", "O", "Zn", "Si", "O", "Si", "Si", "O", "Hf", "Na", "O", "O", "O", "O", "S", "O", "S", "Hf", "S", "Hf", "O", "O", "O", "O", "O", "S", "Na", "O", "O", "O", "Na", "O", "S", "Si", "O", "O", "Zn", "O", "Hf", "Na", "Si", "O", "O", "O", "O", "Na", "Na", "O"], "frac_coords": [[0.081, 0.966, 0.199], [0.169, 0.676, 0.316], [0.168, 0.656, 0.815], [0.267, 0.683, 0.981], [0.078, 0.502, 0.575], [0.438, 0.528, 0.145], [0.168, 0.374, 0.418], [0.668, 0.657, 0.815], [0.101, 0.168, 0.808], [0.835, 0.345, 0.981], [0.920, 0.513, 0.747], [0.734, 0.349, 0.139], [0.767, 0.684, 0.981], [0.832, 0.968, 0.571], [0.984, 0.152, 0.587], [0.177, 0.010, 0.751], [0.998, 0.986, 0.848], [0.767, 0.836, 0.757], [0.147, 0.288, 0.752], [0.323, 0.112, 0.140], [0.236, 0.126, 0.638], [0.019, 0.369, 0.919], [0.854, 0.711, 0.251], [0.170, 0.963, 0.918], [0.825, 0.341, 0.828], [0.844, 0.360, 0.683], [0.823, 0.535, 0.641], [0.498, 0.626, 0.238], [0.826, 0.500, 0.924], [0.058, 0.636, 0.362], [0.250, 0.132, 0.922], [0.678, 0.011, 0.750], [0.570, 0.686, 0.469], [0.264, 0.848, 0.481], [0.078, 0.651, 0.076], [0.584, 0.209, 0.694], [0.415, 0.801, 0.586], [0.990, 0.196, 0.304], [0.177, 0.478, 0.364], [0.501, 0.014, 0.347], [0.744, 0.182, 0.241], [0.513, 0.192, 0.197], [0.406, 0.025, 0.802], [0.940, 0.348, 0.647], [0.082, 0.469, 0.254], [0.501, 0.297, 0.253], [0.931, 0.510, 0.423], [0.338, 0.331, 0.482], [0.913, 0.838, 0.915], [0.188, 0.332, 0.087], [0.158, 0.482, 0.758], [0.419, 0.531, 0.028], [0.592, 0.699, 0.757], [0.932, 0.359, 0.923], [0.908, 0.794, 0.301], [0.600, 0.168, 0.808], [0.243, 0.160, 0.244], [0.763, 0.865, 0.081], [0.498, 0.985, 0.848], [0.912, 0.983, 0.411], [0.230, 0.149, 0.530], [0.831, 0.697, 0.071], [0.001, 0.294, 0.251], [0.757, 0.652, 0.862], [0.656, 0.853, 0.968], [0.592, 0.484, 0.257], [0.012, 0.816, 0.412], [0.652, 0.672, 0.158], [0.238, 0.346, 0.138], [0.421, 0.331, 0.246], [0.664, 0.669, 0.016], [0.250, 0.364, 0.420], [0.147, 0.005, 0.255], [0.480, 0.773, 0.813], [0.906, 0.025, 0.802], [0.391, 0.815, 0.196], [0.772, 0.854, 0.482], [0.837, 0.139, 0.745], [0.327, 0.327, 0.322], [0.679, 0.874, 0.580], [0.835, 0.320, 0.181], [0.059, 0.481, 0.864], [0.155, 0.852, 0.968], [0.179, 0.875, 0.580], [0.687, 0.042, 0.586], [0.266, 0.697, 0.257], [0.484, 0.631, 0.085], [0.815, 0.677, 0.921], [0.242, 0.313, 0.742], [0.559, 0.637, 0.363], [0.834, 0.629, 0.585], [0.341, 0.145, 0.033], [0.917, 0.307, 0.531], [0.579, 0.655, 0.075], [0.148, 0.635, 0.657], [0.507, 0.002, 0.149], [0.179, 0.483, 0.081], [0.334, 0.039, 0.085], [0.099, 0.177, 0.090], [0.352, 0.708, 0.251], [0.496, 0.369, 0.738], [0.670, 0.964, 0.917], [0.658, 0.482, 0.758], [0.261, 0.658, 0.581], [0.998, 0.006, 0.990], [0.101, 0.018, 0.315], [0.320, 0.148, 0.424], [0.734, 0.123, 0.639], [0.742, 0.313, 0.742], [0.915, 0.803, 0.587], [0.432, 0.358, 0.923], [0.844, 0.540, 0.245], [0.558, 0.481, 0.864], [0.819, 0.284, 0.330], [0.019, 0.664, 0.419], [0.353, 0.997, 0.751], [0.983, 0.685, 0.908], [0.333, 0.968, 0.572], [0.497, 0.000, 0.992], [0.988, 0.006, 0.492], [0.069, 0.454, 0.970], [0.656, 0.458, 0.468], [0.007, 0.201, 0.911], [0.984, 0.337, 0.585], [0.844, 0.145, 0.031], [0.484, 0.816, 0.087], [0.817, 0.956, 0.420], [0.404, 0.788, 0.302], [0.333, 0.698, 0.071], [0.837, 0.321, 0.480], [0.501, 0.997, 0.491], [0.015, 0.836, 0.697], [0.252, 0.863, 0.363], [0.604, 0.039, 0.308], [0.483, 0.684, 0.909], [0.257, 0.651, 0.861], [0.985, 0.811, 0.090], [0.507, 0.813, 0.410], [0.315, 0.954, 0.422], [0.100, 0.025, 0.587], [0.822, 0.619, 0.752], [0.671, 0.686, 0.313], [0.325, 0.028, 0.250], [0.892, 0.814, 0.195], [0.751, 0.133, 0.922], [0.996, 0.632, 0.239], [0.165, 0.671, 0.016], [0.842, 0.539, 0.533], [0.227, 0.305, 0.031], [0.766, 0.688, 0.256], [0.579, 0.503, 0.574], [0.420, 0.309, 0.528], [0.154, 0.662, 0.155], [0.686, 0.332, 0.086], [0.091, 0.699, 0.757], [0.680, 0.475, 0.361], [0.342, 0.537, 0.533], [0.325, 0.499, 0.924], [0.095, 0.985, 0.914], [0.084, 0.208, 0.694], [0.157, 0.451, 0.471], [0.835, 0.041, 0.085], [0.919, 0.529, 0.029], [0.392, 0.969, 0.696], [0.485, 0.338, 0.585], [0.731, 0.151, 0.532], [0.731, 0.310, 0.032], [0.439, 0.348, 0.645], [0.096, 0.199, 0.414], [0.421, 0.512, 0.747], [0.928, 0.324, 0.247], [0.162, 0.652, 0.516], [0.595, 0.204, 0.414], [0.340, 0.329, 0.184], [0.587, 0.967, 0.194], [0.337, 0.139, 0.744], [0.011, 0.210, 0.197], [0.678, 0.483, 0.079], [0.983, 0.623, 0.086], [0.072, 0.683, 0.468], [0.334, 0.630, 0.585], [0.179, 0.883, 0.862], [0.996, 0.007, 0.350], [0.323, 0.619, 0.753], [0.824, 0.148, 0.423], [0.680, 0.885, 0.861], [0.980, 0.773, 0.813], [0.761, 0.658, 0.581], [0.344, 0.360, 0.683], [0.315, 0.676, 0.921], [0.892, 0.969, 0.696], [0.647, 0.289, 0.752], [0.001, 0.705, 0.753], [0.412, 0.989, 0.415], [0.508, 0.014, 0.648], [0.325, 0.341, 0.829], [0.260, 0.864, 0.081], [0.750, 0.368, 0.422], [0.506, 0.200, 0.911], [0.656, 0.833, 0.257], [0.521, 0.671, 0.418], [0.937, 0.519, 0.147], [0.853, 0.997, 0.751], [0.005, 0.993, 0.147], [0.187, 0.042, 0.585], [0.007, 0.012, 0.648], [0.569, 0.453, 0.970], [0.267, 0.836, 0.756], [0.413, 0.838, 0.915], [0.339, 0.537, 0.245], [0.322, 0.534, 0.640], [0.519, 0.368, 0.919], [0.677, 0.346, 0.252], [0.599, 0.175, 0.087], [0.600, 0.025, 0.587], [0.514, 0.836, 0.697], [0.164, 0.029, 0.406], [0.433, 0.506, 0.422], [0.670, 0.377, 0.417], [0.501, 0.706, 0.753], [0.754, 0.857, 0.364], [0.823, 0.115, 0.138], [0.667, 0.660, 0.515], [0.595, 0.986, 0.914], [0.335, 0.346, 0.982], [0.485, 0.284, 0.407], [0.650, 0.010, 0.251], [0.414, 0.028, 0.086], [0.152, 0.823, 0.259], [0.916, 0.030, 0.088], [0.479, 0.185, 0.313], [0.650, 0.638, 0.655], [0.996, 0.368, 0.738], [0.484, 0.152, 0.587]]}